No. 1
LuAl10Re2 after structural relaxation. Source: the Materials Project database, functional PBE-GGA.

Geometry as CIF:
```
data_LuAl10Re2
_chemical_formula_sum 'Lu12 Al120 Re24'
_cell_length_a 9.311
_cell_length_b 10.320
_cell_length_c 26.937
_cell_angle_alpha 90.00
_cell_angle_beta 90.00
_cell_angle_gamma 90.00
_symmetry_space_group_name_H-M 'C m c m'
_symmetry_Int_Tables_number 63
_symmetry_space_group_name_Hall '-C 2c 2'
loop_
_atom_site_label
_atom_site_type_symbol
_atom_site_fract_x
_atom_site_fract_y
_atom_site_fract_z
Lu1 Lu 0.000 0.117 0.250
Lu2 Lu 0.000 0.376 0.085
Al1 Al 0.000 0.098 0.134
Al2 Al 0.000 0.123 0.022
Al3 Al 0.000 0.130 0.678
Al4 Al 0.000 0.336 0.534
Al5 Al 0.000 0.376 0.646
Al6 Al 0.000 0.406 0.200
Al7 Al 0.149 0.389 0.750
Al8 Al 0.151 0.122 0.581
Al9 Al 0.206 0.500 0.000
Al10 Al 0.207 0.111 0.750
Al11 Al 0.221 0.247 0.172
Al12 Al 0.248 0.128 0.083
Re1 Re 0.248 0.003 0.663
Re2 Re 0.250 0.250 0.000
```

**ΔE_f**: -341 meV per atom

=====

No. 2
Lu2AlRu after structural relaxation. Source: the Materials Project database, functional PBE-GGA.

Geometry as CIF:
```
data_Lu2AlRu
_chemical_formula_sum 'Lu8 Al4 Ru4'
_cell_length_a 6.863
_cell_length_b 6.863
_cell_length_c 6.863
_cell_angle_alpha 90.00
_cell_angle_beta 90.00
_cell_angle_gamma 90.00
_symmetry_space_group_name_H-M 'F m -3 m'
_symmetry_Int_Tables_number 225
_symmetry_space_group_name_Hall '-F 4 2 3'
loop_
_atom_site_label
_atom_site_type_symbol
_atom_site_fract_x
_atom_site_fract_y
_atom_site_fract_z
Lu1 Lu 0.250 0.250 0.250
Al1 Al 0.000 0.000 0.000
Ru1 Ru 0.000 0.000 0.500
```

**ΔE_f**: -439 meV per atom

=====

No. 3
Lu2AlTc after structural relaxation. Source: the Materials Project database, functional PBE-GGA.

Geometry as CIF:
```
data_Lu2AlTc
_chemical_formula_sum 'Lu8 Al4 Tc4'
_cell_length_a 6.890
_cell_length_b 6.890
_cell_length_c 6.890
_cell_angle_alpha 90.00
_cell_angle_beta 90.00
_cell_angle_gamma 90.00
_symmetry_space_group_name_H-M 'F m -3 m'
_symmetry_Int_Tables_number 225
_symmetry_space_group_name_Hall '-F 4 2 3'
loop_
_atom_site_label
_atom_site_type_symbol
_atom_site_fract_x
_atom_site_fract_y
_atom_site_fract_z
Lu1 Lu 0.250 0.250 0.250
Al1 Al 0.000 0.000 0.000
Tc1 Tc 0.000 0.000 0.500
```

**Magnetization**: 0.00 μB per cell
**ΔE_f**: -241 meV per atom

=====

No. 4
Lu2AlZn after structural relaxation. Source: the Materials Project database, functional PBE-GGA.

Geometry as CIF:
```
data_Lu2AlZn
_chemical_formula_sum 'Lu8 Al4 Zn4'
_cell_length_a 7.031
_cell_length_b 7.031
_cell_length_c 7.031
_cell_angle_alpha 90.00
_cell_angle_beta 90.00
_cell_angle_gamma 90.00
_symmetry_space_group_name_H-M 'F m -3 m'
_symmetry_Int_Tables_number 225
_symmetry_space_group_name_Hall '-F 4 2 3'
loop_
_atom_site_label
_atom_site_type_symbol
_atom_site_fract_x
_atom_site_fract_y
_atom_site_fract_z
Lu1 Lu 0.250 0.250 0.250
Al1 Al 0.000 0.000 0.000
Zn1 Zn 0.000 0.000 0.500
```

**ΔE_f**: -373 meV per atom

=====

No. 5
MgAl3 after structural relaxation. Source: the Materials Project database, functional PBE-GGA.

Geometry as CIF:
```
data_MgAl3
_chemical_formula_sum 'Mg2 Al6'
_cell_length_a 4.127
_cell_length_b 4.127
_cell_length_c 8.349
_cell_angle_alpha 90.00
_cell_angle_beta 90.00
_cell_angle_gamma 90.00
_symmetry_space_group_name_H-M 'I 4/m m m'
_symmetry_Int_Tables_number 139
_symmetry_space_group_name_Hall '-I 4 2'
loop_
_atom_site_label
_atom_site_type_symbol
_atom_site_fract_x
_atom_site_fract_y
_atom_site_fract_z
Mg1 Mg 0.000 0.000 0.000
Al1 Al 0.000 0.000 0.500
Al2 Al 0.000 0.500 0.250
```

**ΔE_f**: 9 meV per atom

=====

No. 6
Mg13Al16 after structural relaxation. Source: the Materials Project database, functional PBE-GGA.

Geometry as CIF:
```
data_Mg13Al16
_chemical_formula_sum 'Mg26 Al32'
_cell_length_a 10.423
_cell_length_b 10.423
_cell_length_c 10.423
_cell_angle_alpha 90.00
_cell_angle_beta 90.00
_cell_angle_gamma 90.00
_symmetry_space_group_name_H-M 'I -4 3 m'
_symmetry_Int_Tables_number 217
_symmetry_space_group_name_Hall 'I -4 2 3'
loop_
_atom_site_label
_atom_site_type_symbol
_atom_site_fract_x
_atom_site_fract_y
_atom_site_fract_z
Mg1 Mg 0.000 0.000 0.000
Mg2 Mg 0.045 0.358 0.642
Al1 Al 0.090 0.090 0.724
Al2 Al 0.172 0.172 0.172
```

**Magnetization**: 0.50 μB per cell
**ΔE_f**: 20 meV per atom